Compound: La3Cr2N6
Source: the Materials Project
Functional: PBE-GGA
Structure: optimized geometry

E = -8.69 eV/atom

Cell: 3.8554 3.8554 20.0280 Å, 90.00 90.00 90.00°
With the nearest neighbours (Å) after each atom.
Space group I4/mmm (No. 139)
Symmetry-distinct sites (fractional):
La 0.0000 0.0000 0.0000  8 N 2.60
La 0.0000 0.0000 0.1790  9 N 2.55-2.74
Cr 0.0000 0.0000 0.3977  5 N 1.83-1.95
N 0.0000 0.0000 0.3065  1 Cr 1.83
N 0.0000 0.5000 0.0868  2 Cr 1.95